DFT (PBE) results for an optimized crystal structure of CaH16O10.

The structure in POSCAR format:
```
CaH16O10
1.0
6.1725 0.0000 0.0000
0.3187 6.3112 0.0000
0.0358 0.4966 11.8118
Ca H O
2 32 20
Direct
0.0000 0.0000 0.0000
0.0049 0.0289 0.5409
0.0565 0.6777 0.8370
0.0572 0.3089 0.3445
0.0758 0.6712 0.1882
0.1841 0.2847 0.7203
0.2675 0.9206 0.3489
0.2757 0.6063 0.1026
0.2774 0.8151 0.7252
0.2804 0.3954 0.6072
0.2832 0.3627 0.4070
0.2981 0.6271 0.8982
0.3448 0.6903 0.4135
0.3614 0.2676 0.1087
0.3612 0.2979 0.9047
0.3640 0.0815 0.8323
0.3798 0.7293 0.6106
0.3838 0.0212 0.1341
0.5506 0.0324 0.6380
0.6104 0.6974 0.0936
0.6114 0.2728 0.6182
0.6183 0.8442 0.9058
0.6274 0.2710 0.4103
0.6715 0.0307 0.3661
0.6966 0.3856 0.9073
0.7102 0.3347 0.1111
0.7126 0.8563 0.1777
0.7177 0.9932 0.8096
0.7187 0.6250 0.3845
0.7244 0.6325 0.5975
0.9337 0.3656 0.8460
0.9567 0.3159 0.1512
0.9566 0.7209 0.3713
0.9690 0.5638 0.6225
0.1332 0.6960 0.1120
0.1423 0.3287 0.6417
0.1682 0.2555 0.3981
0.1898 0.7419 0.8589
0.2208 0.8097 0.4026
0.2657 0.1872 0.8648
0.2736 0.1387 0.1274
0.3169 0.8632 0.6463
0.4730 0.4808 0.9457
0.4865 0.4781 0.0718
0.4891 0.5032 0.5681
0.4907 0.5004 0.4414
0.6599 0.8475 0.0996
0.6715 0.1289 0.6475
0.7368 0.1497 0.4017
0.7459 0.8650 0.8586
0.8125 0.7131 0.3345
0.8293 0.2883 0.8900
0.8336 0.2322 0.1352
0.8711 0.6909 0.6075
```

Computed properties:
**Symmetry**: P1
**Energy with MP2020 corrections**: -5.26 eV/atom
**Offset from the most stable computed form**: 4.81 kJ/mol of atoms


DFT (PBE) results for an optimized crystal structure of La7Ir3.

The structure in POSCAR format:
```
La7Ir3
1.0
10.2837 0.0000 0.0000
-5.1418 8.9059 0.0000
0.0000 0.0000 6.4799
La Ir
14 6
Direct
0.0803 0.5401 0.0000
0.1255 0.2510 0.3099
0.1255 0.8745 0.3099
0.2510 0.1255 0.8099
0.3333 0.6667 0.5273
0.4599 0.5401 0.0000
0.4599 0.9197 0.0000
0.5401 0.0803 0.5000
0.5401 0.4599 0.5000
0.6667 0.3333 0.0273
0.7490 0.8745 0.3099
0.8745 0.1255 0.8099
0.8745 0.7490 0.8099
0.9197 0.4599 0.5000
0.1889 0.3777 0.7479
0.1889 0.8111 0.7479
0.3777 0.1889 0.2479
0.6223 0.8111 0.7479
0.8111 0.1889 0.2479
0.8111 0.6223 0.2479
```

Computed properties:
**Symmetry**: P6_3mc
**Final energy**: -6.69 eV/atom


DFT (PBE) results for an optimized crystal structure of RbO3.

The structure in POSCAR format:
```
RbO3
1.0
6.6562 0.0000 0.0000
0.0000 6.1761 0.0000
-5.0271 0.0000 7.4867
Rb O
4 12
Direct
0.2235 0.2433 0.0854
0.2235 0.2567 0.5854
0.7765 0.7433 0.4146
0.7765 0.7567 0.9146
0.1073 0.5626 0.7973
0.1073 0.9374 0.2973
0.2905 0.7058 0.9001
0.2905 0.7942 0.4001
0.3148 0.7429 0.5574
0.3148 0.7571 0.0574
0.6852 0.2429 0.9426
0.6852 0.2571 0.4426
0.7095 0.2058 0.5999
0.7095 0.2942 0.0999
0.8927 0.0626 0.7027
0.8927 0.4374 0.2027
```

Computed properties:
**Symmetry**: P2_1/c
**Final energy**: -4.60 eV/atom


DFT (PBE) results for an optimized crystal structure of SnS.

The structure in POSCAR format:
```
SnS
1.0
2.0559 -5.8581 0.0000
2.0559 5.8581 0.0000
0.0000 0.0000 4.1079
Sn S
2 2
Direct
0.1264 0.8736 0.7500
0.8736 0.1264 0.2500
0.3486 0.6514 0.7500
0.6514 0.3486 0.2500
```

Computed properties:
**Symmetry**: Cmcm
**Energy with MP2020 corrections**: -4.75 eV/atom


DFT (PBE) results for an optimized crystal structure of TaMo4S10.

The structure in POSCAR format:
```
TaMo4S10
1.0
5.5985 0.0000 0.0000
-0.9308 6.5721 0.0000
-2.7985 -1.9802 7.8378
Ta Mo S
1 4 10
Direct
0.0000 0.0000 0.0000
0.1979 0.0000 0.4027
0.3985 0.0002 0.7981
0.6006 0.0000 0.2019
0.7951 0.0002 0.5973
0.0656 0.7574 0.5524
0.1944 0.2419 0.6488
0.2734 0.7553 0.9512
0.4033 0.2441 0.0486
0.4651 0.7574 0.3509
0.5937 0.2418 0.4474
0.6631 0.7552 0.7473
0.7933 0.2443 0.8447
0.8673 0.7551 0.1552
0.9973 0.2442 0.2527
```

Computed properties:
**Symmetry**: P1
**Energy with MP2020 corrections**: -7.67 eV/atom
**Offset from the most stable computed form**: 0.00 kJ/mol of atoms


DFT (PBE) results for an optimized crystal structure of Y2ZnGa.

The structure in POSCAR format:
```
Y2ZnGa
1.0
0.0000 3.5746 3.5746
3.5746 0.0000 3.5746
3.5746 3.5746 0.0000
Y Zn Ga
2 1 1
Direct
0.2500 0.2500 0.2500
0.7500 0.7500 0.7500
0.0000 0.0000 0.0000
0.5000 0.5000 0.5000
```

Computed properties:
**Symmetry**: Fm-3m
**Final energy**: -4.82 eV/atom


DFT (PBE) results for an optimized crystal structure of Mg6NbGa.

The structure in POSCAR format:
```
Mg6NbGa
1.0
-3.4474 -0.5702 3.3837
-0.3999 -6.0897 -1.4337
7.5685 -2.2242 7.3362
Mg Nb Ga
12 2 2
Direct
0.0000 0.2530 0.0816
0.0000 0.7470 0.0816
0.0000 0.5000 0.8332
0.5000 0.2433 0.9135
0.5000 0.7567 0.9135
0.5000 0.5000 0.6666
0.0000 0.7530 0.5816
0.0000 0.2470 0.5816
0.0000 0.0000 0.3332
0.5000 0.7433 0.4135
0.5000 0.2567 0.4135
0.5000 0.0000 0.1666
0.0000 0.5000 0.3261
0.0000 0.0000 0.8261
0.5000 0.5000 0.1840
0.5000 0.0000 0.6840
```

Computed properties:
**Offset from the most stable computed form**: 0.00 kJ/mol of atoms


DFT (PBE) results for an optimized crystal structure of LiC2NO6.

The structure in POSCAR format:
```
LiC2NO6
1.0
2.2701 1.3106 4.9759
-2.2701 1.3106 4.9759
0.0000 -2.6213 4.9759
Li C N O
1 2 1 6
Direct
0.0000 0.0000 0.0000
0.2407 0.2407 0.2407
0.7593 0.7593 0.7593
0.5000 0.5000 0.5000
0.0475 0.7443 0.4764
0.2558 0.5236 0.9525
0.4764 0.0474 0.7442
0.5236 0.9525 0.2558
0.7442 0.4764 0.0475
0.9525 0.2558 0.5236
```

Computed properties:
**Symmetry**: R-3
**Energy with MP2020 corrections**: -6.79 eV/atom